1.
A relaxed structure of Al2CoCl8, computed with meta-GGA r2SCAN.

Properties
The value obtained for the formation energy is -1.42 eV/atom. The calculated total energy is -8.32 eV per atom.

Structure (CIF):
```
data_Al2CoCl8
_chemical_formula_sum 'Al8 Co4 Cl32'
_cell_length_a 13.147
_cell_length_b 7.915
_cell_length_c 11.512
_cell_angle_alpha 90.00
_cell_angle_beta 90.51
_cell_angle_gamma 90.00
_space_group_name_H-M_alt 'C 1 2/c 1'
_space_group_IT_number 15
_space_group_name_Hall '-C 2yc'
loop_
_atom_site_label
_atom_site_type_symbol
_atom_site_fract_x
_atom_site_fract_y
_atom_site_fract_z
Al1 Al 0.080 0.245 0.051
Co1 Co 0.000 0.007 0.250
Cl1 Cl 0.072 0.225 0.379
Cl2 Cl 0.079 0.225 0.864
Cl3 Cl 0.142 0.017 0.134
Cl4 Cl 0.159 0.464 0.099
```

***

2.
A relaxed structure of AlCo3Se2ClO8, computed with meta-GGA r2SCAN.

Properties
The value obtained for the formation energy is -1.25 eV/atom. The calculated total energy is -9.85 eV per atom.

Structure (CIF):
```
data_AlCo3Se2ClO8
_chemical_formula_sum 'Al2 Co6 Se4 Cl2 O16'
_cell_length_a 5.644
_cell_length_b 7.702
_cell_length_c 9.533
_cell_angle_alpha 84.21
_cell_angle_beta 80.97
_cell_angle_gamma 89.73
_space_group_name_H-M_alt 'P -1'
_space_group_IT_number 2
_space_group_name_Hall '-P 1'
loop_
_atom_site_label
_atom_site_type_symbol
_atom_site_fract_x
_atom_site_fract_y
_atom_site_fract_z
Al1 Al 0.196 0.139 0.232
Co1 Co 0.000 0.000 0.000
Co2 Co 0.000 0.000 0.500
Co3 Co 0.304 0.753 0.238
Co4 Co 0.500 0.000 0.000
Co5 Co 0.500 0.000 0.500
Se1 Se 0.217 0.622 0.576
Se2 Se 0.278 0.641 0.909
Cl1 Cl 0.285 0.192 0.805
O1 O 0.021 0.227 0.388
O2 O 0.045 0.789 0.890
O3 O 0.198 0.596 0.404
O4 O 0.213 0.955 0.125
O5 O 0.249 0.589 0.085
O6 O 0.279 0.978 0.373
O7 O 0.453 0.757 0.574
O8 O 0.480 0.210 0.116
```

***

3.
A relaxed structure of CsAlCl4, computed with meta-GGA r2SCAN.

Properties
The value obtained for the formation energy is -2.01 eV/atom. The calculated total energy is -11.42 eV per atom.

Structure (CIF):
```
data_CsAlCl4
_chemical_formula_sum 'Cs4 Al4 Cl16'
_cell_length_a 11.722
_cell_length_b 7.108
_cell_length_c 9.444
_cell_angle_alpha 90.00
_cell_angle_beta 90.00
_cell_angle_gamma 90.00
_space_group_name_H-M_alt 'P n m a'
_space_group_IT_number 62
_space_group_name_Hall '-P 2ac 2n'
loop_
_atom_site_label
_atom_site_type_symbol
_atom_site_fract_x
_atom_site_fract_y
_atom_site_fract_z
Cs1 Cs 0.180 0.250 0.164
Al1 Al 0.071 0.250 0.694
Cl1 Cl 0.085 0.007 0.828
Cl2 Cl 0.090 0.750 0.410
Cl3 Cl 0.212 0.250 0.549
```

***

4.
A relaxed structure of Al2CuCl8, computed with meta-GGA r2SCAN.

Properties
The value obtained for the formation energy is -1.40 eV/atom. The calculated total energy is -8.09 eV per atom.

Structure (CIF):
```
data_Al2CuCl8
_chemical_formula_sum 'Al4 Cu2 Cl16'
_cell_length_a 6.737
_cell_length_b 7.347
_cell_length_c 12.303
_cell_angle_alpha 90.00
_cell_angle_beta 94.72
_cell_angle_gamma 90.00
_space_group_name_H-M_alt 'P 1 21/c 1'
_space_group_IT_number 14
_space_group_name_Hall '-P 2ybc'
loop_
_atom_site_label
_atom_site_type_symbol
_atom_site_fract_x
_atom_site_fract_y
_atom_site_fract_z
Al1 Al 0.190 0.236 0.182
Cu1 Cu 0.000 0.000 0.500
Cl1 Cl 0.107 0.748 0.907
Cl2 Cl 0.161 0.233 0.851
Cl3 Cl 0.293 0.009 0.610
Cl4 Cl 0.358 0.013 0.139
```

***

5.
A relaxed structure of AlGaCl4, computed with meta-GGA r2SCAN.

Properties
The value obtained for the formation energy is -1.40 eV/atom. The calculated total energy is -8.53 eV per atom.

Structure (CIF):
```
data_AlGaCl4
_chemical_formula_sum 'Al4 Ga4 Cl16'
_cell_length_a 7.221
_cell_length_b 9.945
_cell_length_c 11.574
_cell_angle_alpha 90.00
_cell_angle_beta 125.94
_cell_angle_gamma 90.00
_space_group_name_H-M_alt 'P 1 21/c 1'
_space_group_IT_number 14
_space_group_name_Hall '-P 2ybc'
loop_
_atom_site_label
_atom_site_type_symbol
_atom_site_fract_x
_atom_site_fract_y
_atom_site_fract_z
Al1 Al 0.070 0.041 0.316
Ga1 Ga 0.425 0.215 0.786
Cl1 Cl 0.127 0.634 0.941
Cl2 Cl 0.212 0.019 0.198
Cl3 Cl 0.241 0.216 0.447
Cl4 Cl 0.292 0.570 0.324
```

***

6.
A relaxed structure of AlH12Cl3O6, computed with meta-GGA r2SCAN.

Properties
The value obtained for the formation energy is -1.27 eV/atom. The calculated total energy is -5.93 eV per atom.

Structure (CIF):
```
data_AlH12Cl3O6
_chemical_formula_sum 'Al6 H72 Cl18 O36'
_cell_length_a 11.7514
_cell_length_b 11.7514
_cell_length_c 11.9955
_cell_angle_alpha 90.00
_cell_angle_beta 90.00
_cell_angle_gamma 120.00
_space_group_name_H-M_alt 'R -3 c'
_space_group_IT_number 167
_space_group_name_Hall '-R 3 2"c'
loop_
_atom_site_label
_atom_site_type_symbol
_atom_site_fract_x
_atom_site_fract_y
_atom_site_fract_z
Al1 Al 0.0000 0.0000 0.0000
H1 H 0.0026 0.2030 0.4123
H2 H 0.0704 0.1850 0.6432
Cl1 Cl 0.0000 0.2676 0.7500
O1 O 0.0399 0.1460 0.0902
```

***

7.
A relaxed structure of AlHg2SbCl4, computed with meta-GGA r2SCAN.

Properties
The value obtained for the formation energy is -1.07 eV/atom. The calculated total energy is -20.55 eV per atom.

Structure (CIF):
```
data_AlHg2SbCl4
_chemical_formula_sum 'Al8 Hg16 Sb8 Cl32'
_cell_length_a 12.125
_cell_length_b 8.906
_cell_length_c 17.824
_cell_angle_alpha 90.00
_cell_angle_beta 90.00
_cell_angle_gamma 90.00
_space_group_name_H-M_alt 'P b c n'
_space_group_IT_number 60
_space_group_name_Hall '-P 2n 2ab'
loop_
_atom_site_label
_atom_site_type_symbol
_atom_site_fract_x
_atom_site_fract_y
_atom_site_fract_z
Al1 Al 0.108 0.084 0.125
Hg1 Hg 0.000 0.459 0.750
Hg2 Hg 0.000 0.500 0.000
Hg3 Hg 0.235 0.175 0.876
Sb1 Sb 0.124 0.439 0.876
Cl1 Cl 0.036 0.158 0.436
Cl2 Cl 0.079 0.137 0.665
Cl3 Cl 0.141 0.235 0.217
Cl4 Cl 0.248 0.090 0.052
```

***

8.
A relaxed structure of AlICl6, computed with meta-GGA r2SCAN.

Properties
The value obtained for the formation energy is -0.95 eV/atom. The calculated total energy is -9.48 eV per atom.

Structure (CIF):
```
data_AlICl6
_chemical_formula_sum 'Al2 I2 Cl12'
_cell_length_a 6.174
_cell_length_b 11.201
_cell_length_c 7.163
_cell_angle_alpha 90.00
_cell_angle_beta 98.83
_cell_angle_gamma 90.00
_space_group_name_H-M_alt 'P 1 21 1'
_space_group_IT_number 4
_space_group_name_Hall 'P 2yb'
loop_
_atom_site_label
_atom_site_type_symbol
_atom_site_fract_x
_atom_site_fract_y
_atom_site_fract_z
Al1 Al 0.086 0.000 0.016
I1 I 0.495 0.344 0.304
Cl1 Cl 0.180 0.122 0.819
Cl2 Cl 0.196 0.820 0.953
Cl3 Cl 0.198 0.042 0.302
Cl4 Cl 0.225 0.382 0.493
Cl5 Cl 0.272 0.492 0.011
Cl6 Cl 0.290 0.720 0.481
```

***

9.
A relaxed structure of AlI3Cl6, computed with meta-GGA r2SCAN.

Properties
The value obtained for the formation energy is -0.78 eV/atom. The calculated total energy is -12.51 eV per atom.

Structure (CIF):
```
data_AlI3Cl6
_chemical_formula_sum 'Al8 I24 Cl48'
_cell_length_a 27.673
_cell_length_b 7.399
_cell_length_c 14.409
_cell_angle_alpha 90.00
_cell_angle_beta 108.57
_cell_angle_gamma 90.00
_space_group_name_H-M_alt 'C 1 2/c 1'
_space_group_IT_number 15
_space_group_name_Hall '-C 2yc'
loop_
_atom_site_label
_atom_site_type_symbol
_atom_site_fract_x
_atom_site_fract_y
_atom_site_fract_z
Al1 Al 0.131 0.054 0.462
I1 I 0.032 0.230 0.601
I2 I 0.117 0.452 0.718
I3 I 0.206 0.343 0.330
Cl1 Cl 0.035 0.424 0.892
Cl2 Cl 0.066 0.075 0.337
Cl3 Cl 0.109 0.018 0.090
Cl4 Cl 0.166 0.324 0.491
Cl5 Cl 0.187 0.132 0.953
Cl6 Cl 0.246 0.351 0.208
```

***

10.
A relaxed structure of AlInCl4, computed with meta-GGA r2SCAN.

Properties
The value obtained for the formation energy is -1.49 eV/atom. The calculated total energy is -10.48 eV per atom.

Structure (CIF):
```
data_AlInCl4
_chemical_formula_sum 'Al4 In4 Cl16'
_cell_length_a 10.801
_cell_length_b 7.013
_cell_length_c 9.402
_cell_angle_alpha 90.00
_cell_angle_beta 90.00
_cell_angle_gamma 90.00
_space_group_name_H-M_alt 'P n m a'
_space_group_IT_number 62
_space_group_name_Hall '-P 2ac 2n'
loop_
_atom_site_label
_atom_site_type_symbol
_atom_site_fract_x
_atom_site_fract_y
_atom_site_fract_z
Al1 Al 0.063 0.250 0.185
In1 In 0.207 0.250 0.714
Cl1 Cl 0.068 0.002 0.319
Cl2 Cl 0.105 0.750 0.935
Cl3 Cl 0.226 0.250 0.054
```

***

11.
A relaxed structure of LiAlCl4, computed with meta-GGA r2SCAN.

Properties
The value obtained for the formation energy is -1.83 eV/atom. The calculated total energy is -7.45 eV per atom.

Structure (CIF):
```
data_LiAlCl4
_chemical_formula_sum 'Li4 Al4 Cl16'
_cell_length_a 6.958
_cell_length_b 6.559
_cell_length_c 12.851
_cell_angle_alpha 90.00
_cell_angle_beta 92.83
_cell_angle_gamma 90.00
_space_group_name_H-M_alt 'P 1 21/c 1'
_space_group_IT_number 14
_space_group_name_Hall '-P 2ybc'
loop_
_atom_site_label
_atom_site_type_symbol
_atom_site_fract_x
_atom_site_fract_y
_atom_site_fract_z
Li1 Li 0.150 0.022 0.368
Al1 Al 0.297 0.174 0.602
Cl1 Cl 0.074 0.186 0.190
Cl2 Cl 0.188 0.629 0.070
Cl3 Cl 0.309 0.184 0.953
Cl4 Cl 0.434 0.675 0.812
```